# 1
PBE+U Ca3Mn2Si3O12, relaxed; energy relative to the elements = -296.04 kJ/mol of atoms; excess energy over the best structure of this formula in the dataset = 0 meV per atom
1.0
9.9467 -0.1895 -3.6327
-5.0280 8.7088 -3.3233
-0.1094 0.1895 10.5887
O Mn Ca Si
48 8 12 12
direct
0.8104 0.7995 0.4180
0.2990 0.3050 0.9120
0.4070 0.7987 0.7875
0.4070 0.1083 0.6195
0.7010 0.6950 0.0880
0.7990 0.8870 0.9940
0.9889 0.7875 0.8805
0.6896 0.0820 0.7005
0.1896 0.2005 0.5820
0.9889 0.7013 0.1083
0.3104 0.8924 0.0110
0.3930 0.0880 0.8870
0.0930 0.7125 0.7013
0.3930 0.8050 0.5060
0.1186 0.0110 0.2005
0.1070 0.9940 0.6950
0.5930 0.2013 0.2125
0.5930 0.8917 0.3805
0.1070 0.6130 0.4120
0.6896 0.1076 0.9890
0.8814 0.9890 0.7995
0.3104 0.9180 0.2995
0.8930 0.3870 0.5880
0.2010 0.1130 0.0060
0.9070 0.1195 0.6083
0.8930 0.0060 0.3050
0.6186 0.7005 0.5110
0.1896 0.4890 0.6076
0.4889 0.3805 0.2875
0.8814 0.3924 0.0820
0.6186 0.4180 0.1076
0.2010 0.5880 0.1950
0.0930 0.8805 0.3917
0.8104 0.5110 0.3924
0.7990 0.4120 0.8050
0.9070 0.2875 0.2987
0.0111 0.2987 0.8917
0.3814 0.2995 0.4890
0.1186 0.6076 0.9180
0.7010 0.5060 0.6130
0.6070 0.1950 0.4940
0.2990 0.4940 0.3870
0.5111 0.3917 0.7987
0.4889 0.6083 0.2013
0.3814 0.5820 0.8924
0.0111 0.2125 0.1195
0.5111 0.6195 0.7125
0.6070 0.9120 0.1130
0.5000 0.0000 0.0000
0.5000 0.0000 0.5000
0.0000 0.0000 0.0000
0.0000 0.5000 0.5000
0.5000 0.5000 0.0000
0.0000 0.5000 0.0000
0.0000 0.0000 0.5000
0.5000 0.5000 0.5000
0.7500 0.1250 0.3750
0.6211 0.8711 0.7500
0.6211 0.2500 0.8711
0.3789 0.7500 0.1289
0.1211 0.3711 0.7500
0.8789 0.7500 0.6289
0.8789 0.6289 0.2500
0.2500 0.8750 0.6250
0.7500 0.6250 0.8750
0.1211 0.2500 0.3711
0.3789 0.1289 0.2500
0.2500 0.3750 0.1250
0.7500 0.3750 0.6250
0.2500 0.1250 0.8750
0.8744 0.2500 0.1244
0.6256 0.7500 0.3756
0.8744 0.1244 0.7500
0.1256 0.7500 0.8756
0.7500 0.8750 0.1250
0.2500 0.6250 0.3750
0.6256 0.3756 0.2500
0.1256 0.8756 0.2500
0.3744 0.2500 0.6244
0.3744 0.6244 0.7500



# 2
PBE+U BaSr7Ti5Mn3O20, relaxed; energy relative to the elements = -301.58 kJ/mol of atoms
1.0
-6.1171 -8.4379 4.2980
-9.4442 4.3202 -4.8225
10.5553 -6.7559 -12.9751
Sr O Mn Ti Ba
28 80 12 20 4
direct
0.5609 0.2963 0.6088
0.8050 0.5595 0.1075
0.8031 0.5582 0.6111
0.6985 0.9384 0.3880
0.4483 0.2040 0.3933
0.0578 0.8061 0.6123
0.2015 0.9347 0.3946
0.5614 0.7995 0.1116
0.9454 0.6978 0.8884
0.5604 0.7985 0.6099
0.0536 0.2944 0.6103
0.9469 0.2081 0.3931
0.5523 0.2935 0.1029
0.0560 0.2966 0.1065
0.4420 0.1942 0.8873
0.6964 0.4422 0.8860
0.3069 0.0618 0.6101
0.1983 0.4376 0.8888
0.6899 0.9349 0.8887
0.4490 0.7052 0.8898
0.7001 0.4371 0.3958
0.8071 0.0638 0.6077
0.9483 0.7033 0.3933
0.4496 0.6995 0.3911
0.2008 0.4403 0.3934
0.9506 0.1986 0.8866
0.3130 0.5590 0.6112
0.2042 0.9382 0.8900
0.1305 0.3774 0.5033
0.6834 0.9340 0.2499
0.1361 0.8731 0.5063
0.1743 0.4234 0.7487
0.9581 0.0587 0.2614
0.0800 0.5908 0.1460
0.1827 0.4394 0.2504
0.3227 0.7925 0.6277
0.0762 0.5848 0.6261
0.9271 0.4140 0.3562
0.0868 0.1120 0.1584
0.5701 0.5827 0.6240
0.9266 0.5742 0.7493
0.4410 0.0747 0.2603
0.8868 0.3846 0.5080
0.9430 0.4161 0.8708
0.3203 0.2951 0.6247
0.5954 0.6006 0.1516
0.9493 0.9132 0.3751
0.8809 0.8815 0.0024
0.6314 0.8747 0.0057
0.4472 0.4149 0.8704
0.1262 0.8786 0.0023
0.1226 0.6182 0.9914
0.8774 0.6211 0.4930
0.4255 0.0742 0.7482
0.6258 0.1211 0.4913
0.6757 0.4244 0.7471
0.6243 0.6195 0.9922
0.5704 0.0776 0.6221
0.6351 0.8735 0.5056
0.3179 0.3043 0.1242
0.7054 0.2082 0.3772
0.1928 0.9532 0.2601
0.7033 0.7040 0.3581
0.6659 0.4107 0.2495
0.8185 0.7941 0.1253
0.8833 0.3802 0.0070
0.9435 0.9182 0.8688
0.6967 0.7010 0.8746
0.6324 0.3777 0.5070
0.1202 0.1218 0.9914
0.1935 0.2058 0.8741
0.4492 0.9230 0.8751
0.3723 0.1202 0.4907
0.1938 0.7028 0.3488
0.3818 0.3797 0.5085
0.4423 0.4180 0.3760
0.3226 0.8034 0.1258
0.3846 0.3786 0.0033
0.8832 0.8784 0.5077
0.1982 0.7029 0.8759
0.9243 0.0744 0.7467
0.3830 0.8768 0.0038
0.3808 0.8751 0.5068
0.6743 0.9250 0.7500
0.6325 0.3798 0.0059
0.5680 0.0803 0.1234
0.4659 0.5558 0.2600
0.8231 0.2944 0.6229
0.8753 0.6157 0.9920
0.6270 0.1281 0.9925
0.6971 0.2069 0.8733
0.3728 0.6215 0.4910
0.1957 0.2125 0.3609
0.0751 0.0774 0.6233
0.4478 0.9133 0.3753
0.4258 0.5751 0.7503
0.8772 0.1240 0.9948
0.1776 0.9263 0.7508
0.1274 0.3773 0.0049
0.1261 0.1237 0.4901
0.1261 0.6219 0.4901
0.9488 0.5588 0.2529
0.3738 0.1216 0.9914
0.8224 0.7916 0.6252
0.3798 0.6182 0.9933
0.8775 0.1182 0.4918
0.6271 0.6229 0.4907
0.8190 0.3193 0.1407
0.3694 0.3966 0.2519
0.3604 0.9090 0.7524
0.6084 0.5937 0.7486
0.1090 0.0941 0.7487
0.1096 0.5930 0.7515
0.3732 0.9063 0.2536
0.8569 0.4050 0.7452
0.6142 0.1007 0.2521
0.6066 0.0913 0.7464
0.8598 0.8939 0.2520
0.3559 0.4090 0.7483
0.8542 0.9096 0.7464
0.2555 0.7491 0.9977
0.2591 0.2530 0.5084
0.7531 0.2476 0.4982
0.5031 0.9989 0.0009
0.7510 0.7490 0.9984
0.4983 0.4916 0.9850
0.2524 0.2489 0.9978
0.7477 0.2478 0.9886
0.6312 0.5838 0.2544
0.0097 0.5083 0.5111
0.2624 0.7547 0.5139
0.1086 0.5823 0.2499
0.7601 0.7537 0.5086
0.9948 0.9901 0.9818
0.5041 0.4992 0.4998
0.5056 0.9987 0.4988
0.1155 0.0940 0.2598
0.0033 0.9997 0.4984
0.8380 0.4210 0.2506
0.9971 0.4910 0.9858
0.0581 0.8015 0.1127
0.8104 0.0669 0.1171
0.3149 0.5608 0.1170
0.3083 0.0623 0.1159



# 3
PBE+U KBaCeWO6, relaxed; energy relative to the elements = -279.31 kJ/mol of atoms; excess energy over the best structure of this formula in the dataset = 36 meV per atom
1.0
-2.7814 4.5692 -2.8765
-5.1943 2.2563 2.1947
-0.0944 5.5422 2.4827
O Ba K W Ce
6 1 1 1 1
direct
0.7302 0.7302 0.2698
0.2698 0.2698 0.7302
0.7302 0.2698 0.2698
0.2698 0.7302 0.2698
0.7302 0.2698 0.7302
0.2698 0.7302 0.7302
0.7500 0.7500 0.7500
0.2500 0.2500 0.2500
0.5000 0.5000 0.5000
0.0000 0.0000 0.0000



# 4
PBE+U LiFeCoO4, relaxed; energy relative to the elements = -151.68 kJ/mol of atoms; excess energy over the best structure of this formula in the dataset = 8 meV per atom
1.0
-2.9611 1.7081 4.7447
-2.9611 5.0427 0.0288
-2.9611 -1.7081 -4.7447
O Fe Co Li
8 2 2 2
direct
0.4615 0.2531 0.2084
0.9833 0.2877 0.2290
0.0385 0.2531 0.7853
0.5385 0.7469 0.7916
0.4833 0.2457 0.7710
0.0167 0.7123 0.7710
0.9615 0.7469 0.2147
0.5167 0.7543 0.2290
0.5000 0.5000 0.0000
0.0000 0.5000 0.5000
0.0000 0.5000 0.0000
0.5000 0.0000 0.0000
0.7500 0.1196 0.6304
0.2500 0.8804 0.3696



# 5
PBE+U Li5Mn2Fe17O32, relaxed; energy relative to the elements = -169.14 kJ/mol of atoms
1.0
8.4544 0.0062 -0.0004
0.0067 8.4745 0.0096
0.0002 0.0098 8.4773
Li O Fe Mn
5 32 17 2
direct
0.8755 0.3766 0.1293
0.6273 0.6244 0.6252
0.9961 0.4977 0.4965
0.3759 0.1249 0.8740
0.1248 0.8712 0.3758
0.6319 0.8807 0.6345
0.6209 0.3646 0.1330
0.8731 0.8887 0.3831
0.8590 0.3553 0.3705
0.6330 0.6351 0.8814
0.1176 0.8942 0.6271
0.1298 0.3918 0.1166
0.6318 0.1300 0.3654
0.8928 0.1178 0.6186
0.3753 0.8660 0.3644
0.1378 0.3511 0.6395
0.1233 0.1305 0.8605
0.1183 0.6168 0.8896
0.3567 0.1299 0.6237
0.6274 0.1166 0.8833
0.3775 0.1166 0.1276
0.3835 0.8738 0.8845
0.1332 0.8588 0.1204
0.8865 0.3828 0.8768
0.1191 0.1290 0.3927
0.3659 0.3747 0.8663
0.6161 0.8837 0.1160
0.8765 0.6391 0.6404
0.6150 0.6177 0.3695
0.3592 0.6343 0.1304
0.6139 0.3703 0.6181
0.8954 0.6276 0.1180
0.8716 0.1195 0.1338
0.8638 0.8669 0.8670
0.3855 0.3847 0.3867
0.1381 0.6286 0.3485
0.3665 0.6167 0.6158
0.9976 0.9968 0.9972
0.4981 0.4990 0.0001
0.6194 0.8755 0.8693
0.6380 0.3820 0.3766
0.6251 0.1306 0.1197
0.3778 0.3751 0.6307
0.8799 0.1299 0.3695
0.1258 0.3699 0.8774
0.7544 0.2511 0.7488
0.8741 0.8624 0.6184
0.8699 0.6190 0.8686
0.2506 0.2551 0.2566
0.3713 0.8817 0.1259
0.3708 0.6297 0.3798
0.7550 0.7500 0.2522
0.4981 0.0004 0.4973
0.2473 0.7524 0.7509
0.1233 0.6256 0.1302
0.1274 0.1250 0.6263



# 6
PBE+U MgVCr2Fe3P6O24, relaxed; energy relative to the elements = -233.75 kJ/mol of atoms; excess energy over the best structure of this formula in the dataset = 51 meV per atom
1.0
-1.8555 -8.4928 0.1255
-6.0000 -3.1757 -5.4260
2.4598 -4.6347 -7.0412
O P Fe Cr V Mg
24 6 3 2 1 1
direct
0.5971 0.9818 0.8224
0.2809 0.7570 0.4098
0.0939 0.4925 0.1230
0.9453 0.5036 0.8859
0.5983 0.5922 0.9792
0.5811 0.8130 0.6051
0.4329 0.2033 0.3790
0.1005 0.3037 0.4811
0.2782 0.4148 0.5615
0.4240 0.3761 0.0155
0.2580 0.5661 0.7714
0.7749 0.8975 0.2713
0.9389 0.8975 0.6538
0.2445 0.9356 0.0838
0.2680 0.0838 0.7257
0.4293 0.0058 0.1877
0.8126 0.0430 0.8895
0.9291 0.6548 0.5176
0.0972 0.1173 0.2985
0.7245 0.2386 0.5872
0.7189 0.5858 0.4480
0.2441 0.7414 0.9368
0.8158 0.2465 0.0375
0.7576 0.4328 0.2179
0.2631 0.9444 0.2444
0.7694 0.0329 0.7415
0.2725 0.2498 0.5441
0.7512 0.7454 0.4604
0.7811 0.4456 0.0246
0.2531 0.5516 0.9541
0.0646 0.6437 0.6480
0.4652 0.8438 0.8394
0.8946 0.3669 0.3721
0.0296 0.9943 0.9852
0.4931 0.5018 0.5121
0.2694 0.2398 0.2514
0.6364 0.1258 0.1040